1.
# Li5CoO4

Li5CoO4 after structural relaxation (GGA+U, Materials Project).

a b c (Å): 9.1918 9.2044 9.2047
angles (deg): 90.00 90.00 90.00
Last column: nearest neighbours and their distance in Å.
Positions (direct):
O 0.2532 0.7406 0.2459  1 Co 1.89, 5 Li 1.98-2.03
Li 0.8885 0.6429 0.1101  4 O 1.94-2.04
Li 0.1237 0.8945 0.8516  4 O 1.96-2.05
O 0.2532 0.7594 0.7459  1 Co 1.89, 5 Li 1.98-2.03
Li 0.6115 0.3571 0.6101  4 O 1.94-2.04
O 0.7532 0.7406 0.2541  1 Co 1.89, 5 Li 1.98-2.03
Li 0.6093 0.8396 0.3815  4 O 1.94-2.11
O 0.5069 0.2460 0.4641  1 Co 1.89, 5 Li 1.94-2.05
Co 0.3522 0.6182 0.1136  4 O 1.83-1.93
O 0.7485 0.9838 0.4934  1 Co 1.83, 4 Li 1.99-2.04
O 0.5069 0.2540 0.9641  1 Co 1.89, 5 Li 1.94-2.05
Li 0.3763 0.1055 0.3516  4 O 1.96-2.05
O 0.2515 0.0162 0.5066  1 Co 1.83, 4 Li 1.99-2.04
Li 0.3907 0.3396 0.1185  4 O 1.94-2.11
Li 0.1483 0.6254 0.8805  4 O 1.99-2.01
O 0.4662 0.5000 0.2445  5 Li 1.93-2.01, 1 Co 1.93
Li 0.8818 0.8944 0.3425  4 O 1.93-2.04
Li 0.1115 0.3571 0.8899  4 O 1.94-2.04
O 0.7515 0.4838 0.4934  1 Co 1.83, 4 Li 1.99-2.04
Li 0.8517 0.3746 0.1195  4 O 1.99-2.01
Li 0.3763 0.3945 0.8516  4 O 1.96-2.05
O 0.9662 0.0000 0.7555  5 Li 1.93-2.01, 1 Co 1.93
Co 0.6478 0.1182 0.3864  4 O 1.83-1.93
O 0.0338 0.0000 0.2445  5 Li 1.93-2.01, 1 Co 1.93
Li 0.8907 0.3396 0.3815  4 O 1.94-2.11
O 0.7468 0.2594 0.7541  1 Co 1.89, 5 Li 1.98-2.03
Li 0.8818 0.6056 0.8425  4 O 1.93-2.04
O 0.2468 0.2594 0.7459  1 Co 1.89, 5 Li 1.98-2.03
Co 0.8522 0.8818 0.8864  4 O 1.83-1.93
O 0.2485 0.9838 0.0066  1 Co 1.83, 4 Li 1.99-2.04
O 0.0069 0.2460 0.0359  1 Co 1.89, 5 Li 1.94-2.05
Li 0.3907 0.1604 0.6185  4 O 1.94-2.11
Li 0.1093 0.6604 0.6185  4 O 1.94-2.11
Li 0.1115 0.1429 0.3899  4 O 1.94-2.04
O 0.4662 0.0000 0.7445  5 Li 1.93-2.01, 1 Co 1.93
O 0.2515 0.4838 0.0066  1 Co 1.83, 4 Li 1.99-2.04
Li 0.3885 0.6429 0.3899  4 O 1.94-2.04
O 0.9931 0.7460 0.4641  1 Co 1.89, 5 Li 1.94-2.05
Li 0.6182 0.1056 0.8425  4 O 1.93-2.04
Li 0.8885 0.8571 0.6101  4 O 1.94-2.04
O 0.5338 0.0000 0.2555  5 Li 1.93-2.01, 1 Co 1.93
Co 0.1478 0.3818 0.6136  4 O 1.83-1.93
Li 0.3885 0.8571 0.8899  4 O 1.94-2.04
Li 0.6483 0.6254 0.6195  4 O 1.99-2.01
Li 0.6093 0.6604 0.8815  4 O 1.94-2.11
O 0.9662 0.5000 0.2555  5 Li 1.93-2.01, 1 Co 1.93
Li 0.3517 0.3746 0.3805  4 O 1.99-2.01
Li 0.6182 0.3944 0.3425  4 O 1.93-2.04
Li 0.1182 0.1056 0.6575  4 O 1.93-2.04
Li 0.1182 0.3944 0.1575  4 O 1.93-2.04
Co 0.8522 0.6182 0.3864  4 O 1.83-1.93
O 0.9931 0.7540 0.9641  1 Co 1.89, 5 Li 1.94-2.05
O 0.0338 0.5000 0.7445  5 Li 1.93-2.01, 1 Co 1.93
Li 0.8763 0.3945 0.6484  4 O 1.96-2.05
Li 0.8763 0.1055 0.1484  4 O 1.96-2.05
Co 0.3522 0.8818 0.6136  4 O 1.83-1.93
O 0.4931 0.7460 0.0359  1 Co 1.89, 5 Li 1.94-2.05
Li 0.1093 0.8396 0.1185  4 O 1.94-2.11
Li 0.6237 0.8945 0.6484  4 O 1.96-2.05
O 0.5338 0.5000 0.7555  5 Li 1.93-2.01, 1 Co 1.93
O 0.4931 0.7540 0.5359  1 Co 1.89, 5 Li 1.94-2.05
O 0.7468 0.2406 0.2541  1 Co 1.89, 5 Li 1.98-2.03
Li 0.1237 0.6055 0.3516  4 O 1.96-2.05
O 0.7532 0.7594 0.7541  1 Co 1.89, 5 Li 1.98-2.03
O 0.2468 0.2406 0.2459  1 Co 1.89, 5 Li 1.98-2.03
Li 0.8907 0.1604 0.8815  4 O 1.94-2.11
Li 0.3818 0.6056 0.6575  4 O 1.93-2.04
O 0.7515 0.0162 0.9934  1 Co 1.83, 4 Li 1.99-2.04
Li 0.3818 0.8944 0.1575  4 O 1.93-2.04
Li 0.3517 0.1254 0.8805  4 O 1.99-2.01
Li 0.6483 0.8746 0.1195  4 O 1.99-2.01
O 0.2485 0.5162 0.5066  1 Co 1.83, 4 Li 1.99-2.04
Li 0.8517 0.1254 0.6195  4 O 1.99-2.01
Li 0.6237 0.6055 0.1484  4 O 1.96-2.05
O 0.7485 0.5162 0.9934  1 Co 1.83, 4 Li 1.99-2.04
Co 0.1478 0.1182 0.1136  4 O 1.83-1.93
Co 0.6478 0.3818 0.8864  4 O 1.83-1.93
O 0.0069 0.2540 0.5359  1 Co 1.89, 5 Li 1.94-2.05
Li 0.1483 0.8746 0.3805  4 O 1.99-2.01
Li 0.6115 0.1429 0.1101  4 O 1.94-2.04

Values from the calculation:
total magnetic moment = 32.0 μB/cell
ΔH_f (0 K) = -1.92 eV/atom
E above lowest polymorph = 0 meV per atom


2.
# LiCo8O16

LiCo8O16 after structural relaxation (GGA+U, Materials Project).

a b c (Å): 6.5151 6.5425 7.4799
angles (deg): 75.95 66.30 69.65
Last column: nearest neighbours and their distance in Å.
Positions (direct):
O 0.4952 0.3088 0.0835  3 Co 1.87-1.91
Co 0.5588 0.4350 0.8144  6 O 1.86-1.91
O 0.2496 0.5557 0.8262  3 Co 1.86-1.90
Li 0.0000 0.5000 0.5000  6 O 2.19-2.21
O 0.3689 0.4388 0.4530  3 Co 1.87-1.90
Co 0.3185 0.6896 0.5611  6 O 1.87-1.90
O 0.7504 0.4443 0.1738  3 Co 1.86-1.90
O 0.7536 0.0571 0.3226  3 Co 1.86-1.89
O 0.3813 0.8210 0.2957  3 Co 1.88-1.90
Co 0.1866 0.8125 0.9372  6 O 1.86-1.92
Co 0.6815 0.3104 0.4389  6 O 1.87-1.90
O 0.6311 0.5612 0.5470  3 Co 1.87-1.90
O 0.9973 0.1970 0.4275  3 Co 1.90
O 0.6187 0.1790 0.7043  3 Co 1.88-1.90
O 0.8725 0.9301 0.9549  3 Co 1.88-1.90
O 0.8737 0.3173 0.7942  3 Co 1.88-1.92
O 0.1275 0.0699 0.0451  3 Co 1.88-1.90
O 0.5048 0.6912 0.9165  3 Co 1.87-1.91
O 0.0027 0.8030 0.5725  3 Co 1.90
Co 0.9318 0.0569 0.6909  6 O 1.88-1.90
O 0.1263 0.6827 0.2058  3 Co 1.88-1.92
O 0.2464 0.9429 0.6774  3 Co 1.86-1.89
Co 0.0682 0.9431 0.3091  6 O 1.88-1.90
Co 0.8134 0.1875 0.0628  6 O 1.86-1.92
Co 0.4412 0.5650 0.1856  6 O 1.86-1.91

Values from the calculation:
total magnetic moment = 7.0 μB/cell
ΔH_f (0 K) = -1.17 eV/atom


3.
# LiCo2O4

LiCo2O4 after structural relaxation (GGA+U, Materials Project).

a b c (Å): 2.9553 4.9394 9.9481
angles (deg): 86.09 81.46 90.00
Last column: nearest neighbours and their distance in Å.
Positions (direct):
O 0.0530 0.6856 0.8940  1 Co 1.83
Co 0.4888 0.4953 0.0225  4 O 1.83-1.97
O 0.5543 0.2176 0.8914  3 Co 1.95-1.97, 1 Li 2.08
Li 0.8745 0.9516 0.2509  6 O 2.08-2.19
Co 0.0112 0.0047 0.9775  4 O 1.83-1.97
O 0.1973 0.4240 0.6053  3 Co 1.85-2.03
O 0.4470 0.8144 0.1060  1 Co 1.83
Co 0.2500 0.7500 0.5000  6 O 1.85-1.92
O 0.3027 0.0760 0.3947  3 Co 1.85-2.03
O 0.9457 0.2824 0.1086  3 Co 1.95-1.97, 1 Li 2.08
O 0.7994 0.6112 0.4011  3 Co 1.92-1.97
O 0.7006 0.8888 0.5989  3 Co 1.92-1.97
Co 0.7500 0.2500 0.5000  6 O 1.97-2.03
Li 0.6255 0.5484 0.7491  6 O 2.08-2.19

Values from the calculation:
total magnetic moment = 12.0 μB/cell
ΔH_f (0 K) = -1.34 eV/atom
E above lowest polymorph = 170 meV per atom


4.
# Li2CoO3

Li2CoO3 after structural relaxation (GGA+U, Materials Project).

a b c (Å): 4.9971 8.5022 5.1624
angles (deg): 105.05 79.34 93.29
Last column: nearest neighbours and their distance in Å.
Positions (direct):
O 0.1511 0.4582 0.6906  2 Co 1.87-2.05, 2 Li 2.01
O 0.4001 0.7044 0.4983  2 Co 1.85-1.94, 1 Li 2.06
Co 0.9924 0.9960 0.9766  4 O 1.78-1.96
Li 0.2480 0.5820 0.0684  5 O 1.99-2.20
Li 0.7453 0.4205 0.9222  6 O 2.08-2.21
Co 0.0108 0.3332 0.3442  4 O 1.77-1.97
Li 0.4970 0.1662 0.1601  6 O 2.02-2.25
Co 0.5066 0.8337 0.8329  6 O 1.86-1.96
O 0.8525 0.8734 0.6366  2 Co 1.90-2.02, 2 Li 2.00
O 0.6341 0.9453 0.1495  2 Co 1.87-1.93, 2 Li 2.02
O 0.1382 0.8162 0.0378  2 Co 1.85-1.96, 1 Li 2.07
O 0.8604 0.5171 0.2989  2 Co 1.86-1.96, 1 Li 2.08
Li 0.2459 0.9166 0.4144  6 O 2.07-2.20
O 0.3526 0.3821 0.1563  2 Co 1.88-2.05, 2 Li 1.99-2.02
O 0.3638 0.0230 0.7863  2 Co 1.88-1.96, 3 Li 2.08-2.10
O 0.8898 0.1901 0.9609  1 Co 1.78
O 0.1089 0.1428 0.3726  1 Co 1.77
Co 0.4951 0.4988 0.5059  5 O 1.85-2.05
Li 0.2565 0.2493 0.7558  6 O 2.01-2.21
Li 0.7538 0.7487 0.2489  6 O 2.02-2.16
Li 0.9957 0.6673 0.6734  6 O 2.00-2.22
O 0.6147 0.6374 0.8755  1 Co 1.86, 3 Li 2.01-2.08
O 0.6388 0.3111 0.5420  2 Co 1.85-1.97
Li 0.7477 0.0866 0.5918  5 O 2.00-2.11

Values from the calculation:
total magnetic moment = 2.0 μB/cell
ΔH_f (0 K) = -1.71 eV/atom


5.
# Li3Co11O14

Li3Co11O14 after structural relaxation (GGA+U, Materials Project).

a b c (Å): 10.7723 10.7723 5.1330
angles (deg): 85.61 85.61 152.47
Last column: nearest neighbours and their distance in Å.
Positions (direct):
Co 0.2853 0.7147 0.5000  6 O 2.05-2.13
O 0.5291 0.9588 0.7481  5 Co 2.05-2.17, 1 Li 2.15
O 0.1697 0.3045 0.2583  4 Co 2.01-2.17, 2 Li 2.10-2.11
O 0.3045 0.1697 0.2583  4 Co 2.01-2.17, 2 Li 2.10-2.11
O 0.7676 0.7676 0.2692  5 Co 1.93-2.11
Co 0.6393 0.3607 0.0000  6 O 2.06-2.17
Li 0.1415 0.8585 0.5000  6 O 2.11-2.15
O 0.6955 0.8303 0.7417  4 Co 2.01-2.17, 2 Li 2.10-2.11
O 0.1136 0.3971 0.7512  5 Co 2.06-2.13, 1 Li 2.11
Co 0.4286 0.5714 0.5000  6 O 2.09-2.11
O 0.6029 0.8864 0.2488  5 Co 2.06-2.13, 1 Li 2.11
Co 0.0000 0.0000 0.5000  6 O 1.93-2.01
Co 0.2139 0.7861 0.0000  6 O 2.10-2.13
Li 0.8585 0.1415 0.5000  6 O 2.11-2.15
O 0.9588 0.5291 0.7481  5 Co 2.05-2.17, 1 Li 2.15
O 0.8864 0.6029 0.2488  5 Co 2.06-2.13, 1 Li 2.11
Co 0.3607 0.6393 0.0000  6 O 2.06-2.17
O 0.2324 0.2324 0.7308  5 Co 1.93-2.11
Co 0.5714 0.4286 0.5000  6 O 2.09-2.11
Co 0.0708 0.9292 0.0000  6 O 2.07-2.11
Co 0.7147 0.2853 0.5000  6 O 2.05-2.13
Co 0.9292 0.0708 0.0000  6 O 2.07-2.11
O 0.0412 0.4709 0.2519  5 Co 2.05-2.17, 1 Li 2.15
Co 0.7861 0.2139 0.0000  6 O 2.10-2.13
O 0.4709 0.0412 0.2519  5 Co 2.05-2.17, 1 Li 2.15
O 0.3971 0.1136 0.7512  5 Co 2.06-2.13, 1 Li 2.11
O 0.8303 0.6955 0.7417  4 Co 2.01-2.17, 2 Li 2.10-2.11
Li 0.5000 0.5000 0.0000  6 O 2.10-2.24

Values from the calculation:
total magnetic moment = 3.3 μB/cell
ΔH_f (0 K) = -1.20 eV/atom


6.
# LiCo2O4

LiCo2O4 after structural relaxation (GGA+U, Materials Project).

a b c (Å): 8.0577 8.0659 8.0678
angles (deg): 90.06 90.02 90.03
Last column: nearest neighbours and their distance in Å.
Positions (direct):
O 0.8601 0.3610 0.3633  3 Co 1.91-1.93, 1 Li 1.96
Co 0.3758 0.8743 0.1247  6 O 1.91-1.95
Co 0.3747 0.3745 0.6243  6 O 1.89-1.95
Li 0.0006 0.5038 0.5005  4 O 1.93-1.96
Li 0.7491 0.7503 0.2474  4 O 1.92-1.95
O 0.3908 0.1151 0.1081  3 Co 1.86-1.95, 1 Li 1.93
Li 0.4992 0.9961 0.5015  4 O 1.92-1.95
Co 0.6241 0.3756 0.3758  6 O 1.88-1.91
O 0.1396 0.6421 0.3618  3 Co 1.87-1.91, 1 Li 1.94
Li 0.2521 0.7496 0.7488  4 O 1.93-1.95
O 0.6375 0.6361 0.8578  3 Co 1.87-1.93, 1 Li 1.94
O 0.1170 0.8927 0.6092  3 Co 1.88-1.96, 1 Li 1.95
O 0.6104 0.3885 0.6094  3 Co 1.89-1.93, 1 Li 1.94
O 0.3593 0.8612 0.3625  3 Co 1.88-1.93, 1 Li 1.93
O 0.8896 0.8916 0.3852  3 Co 1.89-1.95, 1 Li 1.95
O 0.3914 0.3861 0.3885  3 Co 1.88-1.94, 1 Li 1.93
Co 0.8749 0.8750 0.6254  6 O 1.89-1.96
O 0.3572 0.3608 0.8626  3 Co 1.89-1.93, 1 Li 1.96
O 0.8910 0.3844 0.8908  3 Co 1.88-1.95, 1 Li 1.94
O 0.3880 0.8921 0.8859  3 Co 1.87-1.93, 1 Li 1.93
O 0.1095 0.1119 0.3873  3 Co 1.90-1.93, 1 Li 1.96
Co 0.6255 0.1234 0.1248  6 O 1.89-1.95
O 0.8852 0.6069 0.1097  3 Co 1.86-1.95, 1 Li 1.94
Co 0.8757 0.3771 0.1255  6 O 1.86-1.93
O 0.8622 0.8605 0.8597  3 Co 1.90-1.92, 1 Li 1.93
O 0.8595 0.6412 0.6368  3 Co 1.89-1.92, 1 Li 1.93
Co 0.1257 0.6255 0.1256  6 O 1.90-1.95
Co 0.1243 0.1253 0.6244  6 O 1.88-1.92
O 0.6166 0.6095 0.3904  3 Co 1.89-1.95, 1 Li 1.94
O 0.1360 0.8615 0.1412  3 Co 1.87-1.94, 1 Li 1.93
O 0.6411 0.3637 0.1415  3 Co 1.90-1.95, 1 Li 1.96
Co 0.8741 0.1247 0.3744  6 O 1.88-1.91
Co 0.1268 0.8740 0.3722  6 O 1.87-1.93
Li 0.9990 0.9971 0.0004  4 O 1.93-1.95
O 0.1341 0.1410 0.8610  3 Co 1.90-1.95, 1 Li 1.95
Co 0.3752 0.1230 0.8776  6 O 1.86-1.95
O 0.6404 0.8596 0.6370  3 Co 1.89-1.93, 1 Li 1.92
O 0.6390 0.1400 0.3661  3 Co 1.90-1.95, 1 Li 1.95
Co 0.3758 0.6252 0.3748  6 O 1.90-1.95
Co 0.1234 0.3763 0.8755  6 O 1.87-1.92
O 0.3568 0.1337 0.6411  3 Co 1.88-1.95, 1 Li 1.95
O 0.8659 0.1413 0.1425  3 Co 1.88-1.95, 1 Li 1.95
Li 0.7478 0.2500 0.7508  4 O 1.94-1.95
Co 0.8747 0.6255 0.8734  6 O 1.90-1.95
Co 0.6255 0.8744 0.8753  6 O 1.91-1.93
O 0.8906 0.1172 0.6080  3 Co 1.89-1.96, 1 Li 1.95
O 0.1083 0.3868 0.1119  3 Co 1.88-1.93, 1 Li 1.94
O 0.1351 0.3584 0.6381  3 Co 1.89-1.94, 1 Li 1.95
O 0.6120 0.8894 0.1114  3 Co 1.89-1.91, 1 Li 1.92
O 0.1156 0.6072 0.8888  3 Co 1.87-1.95, 1 Li 1.95
Co 0.6253 0.6263 0.6262  6 O 1.87-1.93
Li 0.4984 0.5023 0.0017  4 O 1.92-1.96
O 0.3612 0.6386 0.1399  3 Co 1.90-1.91, 1 Li 1.92
O 0.6090 0.1111 0.8898  3 Co 1.89-1.92, 1 Li 1.94
O 0.3907 0.6086 0.6140  3 Co 1.89-1.94, 1 Li 1.93
Li 0.2518 0.2508 0.2479  4 O 1.93-1.96

Values from the calculation:
total magnetic moment = 8.0 μB/cell
ΔH_f (0 K) = -1.51 eV/atom
E above lowest polymorph = 0 meV per atom


7.
# Li3Co4O8

Li3Co4O8 after structural relaxation (GGA+U, Materials Project).

a b c (Å): 5.7426 10.3387 5.7080
angles (deg): 106.01 61.28 105.37
Last column: nearest neighbours and their distance in Å.
Positions (direct):
Co 0.7500 0.2500 0.7500  6 O 1.92-1.93
O 0.6394 0.8613 0.6112  3 Co 1.93-2.09, 2 Li 2.12-2.15
Co 0.2500 0.7500 0.2500  6 O 1.88-1.91
O 0.3863 0.6506 0.3810  3 Co 1.91-1.94
O 0.1258 0.3657 0.1231  3 Co 1.97-2.05, 3 Li 2.10-2.14
Co 0.2500 0.2500 0.2500  6 O 1.97-2.03
O 0.8764 0.1396 0.8748  3 Co 1.93-2.02, 2 Li 2.09-2.10
O 0.1352 0.8526 0.6026  3 Co 1.88-2.05
O 0.9044 0.6452 0.3617  3 Co 1.88-2.04
Li 0.5105 0.0017 0.4973  6 O 2.11-2.21
O 0.1013 0.3588 0.6322  3 Co 1.92-2.03, 2 Li 2.10-2.11
Li 0.5029 0.4951 0.9973  6 O 2.07-2.25
O 0.3742 0.1343 0.3769  3 Co 1.97-2.05, 3 Li 2.10-2.14
O 0.6236 0.3604 0.6252  3 Co 1.93-2.02, 2 Li 2.09-2.10
O 0.6233 0.3590 0.1077  3 Co 1.92-2.02, 2 Li 2.07-2.13
Co 0.7500 0.7500 0.2500  6 O 1.94-1.95
Co 0.2500 0.2500 0.7500  6 O 1.98-2.02
Co 0.2500 0.7500 0.7500  6 O 1.91-2.09
Li 0.5124 0.0065 0.9961  5 O 2.09-2.20
O 0.8767 0.1410 0.3923  3 Co 1.92-2.02, 2 Li 2.07-2.13
O 0.3987 0.1412 0.8678  3 Co 1.92-2.03, 2 Li 2.10-2.11
O 0.8606 0.6387 0.8888  3 Co 1.93-2.09, 2 Li 2.12-2.15
Co 0.7500 0.2500 0.2500  6 O 1.99-2.05
O 0.5956 0.8548 0.1383  3 Co 1.88-2.04
Co 0.7500 0.7500 0.7500  6 O 1.93-2.05
Li 0.9876 0.4935 0.5039  5 O 2.09-2.20
Li 0.9895 0.4983 0.0027  6 O 2.11-2.21
O 0.1137 0.8494 0.1190  3 Co 1.91-1.94
O 0.3648 0.6474 0.8974  3 Co 1.88-2.05
Li 0.9971 0.0049 0.5027  6 O 2.07-2.25

Values from the calculation:
total magnetic moment = 6.6 μB/cell
ΔH_f (0 K) = -1.53 eV/atom
E above lowest polymorph = 63 meV per atom


8.
# LiCo2O4

LiCo2O4 after structural relaxation (GGA+U, Materials Project).

a b c (Å): 4.8490 5.6515 10.1350
angles (deg): 90.00 90.00 90.00
Last column: nearest neighbours and their distance in Å.
Positions (direct):
Co 0.7544 0.8738 0.0055  6 O 1.89-1.92
O 0.5901 0.3795 0.3994  3 Co 1.89-1.92, 1 Li 2.10
O 0.9250 0.6269 0.9058  3 Co 1.89-1.91, 1 Li 2.03
O 0.4250 0.1269 0.5942  3 Co 1.89-1.91, 1 Li 2.03
O 0.4099 0.6205 0.6006  3 Co 1.89-1.92, 1 Li 2.10
Li 0.1435 0.5000 0.7500  4 O 2.03-2.10
O 0.0901 0.8795 0.1006  3 Co 1.89-1.92, 1 Li 2.10
Co 0.2544 0.3738 0.4945  6 O 1.89-1.92
O 0.4099 0.3795 0.8994  3 Co 1.89-1.92, 1 Li 2.10
Co 0.7544 0.1262 0.4945  6 O 1.89-1.92
Co 0.2456 0.8738 0.5055  6 O 1.89-1.92
Li 0.8565 0.5000 0.2500  4 O 2.03-2.10
Co 0.2544 0.6262 0.0055  6 O 1.89-1.92
O 0.0901 0.1205 0.3994  3 Co 1.89-1.92, 1 Li 2.10
O 0.9099 0.1205 0.8994  3 Co 1.89-1.92, 1 Li 2.10
O 0.5901 0.6205 0.1006  3 Co 1.89-1.92, 1 Li 2.10
O 0.0750 0.3731 0.0942  3 Co 1.89-1.91, 1 Li 2.03
Co 0.2456 0.1262 0.9945  6 O 1.89-1.92
Co 0.7456 0.3738 0.9945  6 O 1.89-1.92
O 0.9250 0.3731 0.5942  3 Co 1.89-1.91, 1 Li 2.03
O 0.0750 0.6269 0.4058  3 Co 1.89-1.91, 1 Li 2.03
Co 0.7456 0.6262 0.5055  6 O 1.89-1.92
O 0.4250 0.8731 0.9058  3 Co 1.89-1.91, 1 Li 2.03
O 0.5750 0.1269 0.0942  3 Co 1.89-1.91, 1 Li 2.03
O 0.5750 0.8731 0.4058  3 Co 1.89-1.91, 1 Li 2.03
Li 0.3565 0.0000 0.2500  4 O 2.03-2.10
O 0.9099 0.8795 0.6006  3 Co 1.89-1.92, 1 Li 2.10
Li 0.6435 0.0000 0.7500  4 O 2.03-2.10

Values from the calculation:
ΔH_f (0 K) = -1.46 eV/atom
E above lowest polymorph = 52 meV per atom